# 1
Density functional theory data (GGA+U) for V5N4O after structural relaxation.

Cell lengths 14.6477, 7.7150, 5.1059 Å; angles 29.19, 30.10, 19.32 degrees
Atoms (fractional coordinates):
V 0.8015 0.9922 0.0014
V 0.2306 0.9645 0.9448
V 0.3684 0.0230 0.0762
V 0.0315 0.9328 0.0391
V 0.5677 0.0812 0.9530
O 0.8039 0.4861 0.5122
N 0.9792 0.5246 0.5259
N 0.6206 0.4850 0.4686
N 0.3943 0.5120 0.4817
N 0.2115 0.4695 0.5310

Properties
E_tot, eV/atom: -7.973
E_form, eV/atom: -0.52
M_tot, μB per cell: 6.51

=====

# 2
Density functional theory data (GGA+U) for V5N4O after structural relaxation.

Cell lengths 5.2999, 5.2999, 5.2999 Å; angles 99.41, 99.41, 132.30 degrees
Atoms (fractional coordinates):
V 0.3068 0.1095 0.4163
V 0.1095 0.6932 0.8027
V 0.8905 0.3068 0.1973
V 0.6932 0.8905 0.5837
V 0.5000 0.5000 0.0000
N 0.2014 0.3975 0.5990
N 0.6025 0.2014 0.8039
N 0.3975 0.7986 0.1961
N 0.7986 0.6025 0.4010
O 0.0000 0.0000 0.0000

Properties
E_tot, eV/atom: -8.156
E_form, eV/atom: -0.70
M_tot, μB per cell: 9.85

=====

# 3
Density functional theory data (GGA+U) for V2NO after structural relaxation.

Cell lengths 3.0798, 3.0798, 4.4192 Å; angles 90.00, 90.00, 90.00 degrees
Atoms (fractional coordinates):
V 0.5000 0.5000 0.5000
V 0.0000 0.0000 0.0000
N 0.0000 0.0000 0.5000
O 0.5000 0.5000 0.0000

Properties
E_tot, eV/atom: -7.979
E_form, eV/atom: -1.14
M_tot, μB per cell: 4.99

=====

# 4
Density functional theory data (GGA+U) for V2NO after structural relaxation.

Cell lengths 5.3770, 5.3770, 5.3770 Å; angles 132.01, 132.01, 70.21 degrees
Atoms (fractional coordinates):
V 0.7608 0.7608 0.0000
V 0.5108 0.0108 0.5000
V 0.2392 0.2392 0.0000
V 0.9892 0.4892 0.5000
N 0.7500 0.2500 0.5000
N 0.0000 0.0000 0.0000
O 0.2500 0.7500 0.5000
O 0.5000 0.5000 0.0000

Properties
E_tot, eV/atom: -8.020
E_form, eV/atom: -1.18
M_tot, μB per cell: 2.00

=====

# 5
Density functional theory data (GGA+U) for V2N4O11 after structural relaxation.

Cell lengths 11.1105, 7.4618, 17.3649 Å; angles 87.42, 90.00, 90.00 degrees
Atoms (fractional coordinates):
O 0.4728 0.7435 0.6885
O 0.6861 0.5422 0.7309
O 0.8371 0.8250 0.0798
O 0.3306 0.4921 0.3429
O 0.8306 0.5079 0.1571
O 0.6476 0.0126 0.7108
O 0.1476 0.9874 0.7892
O 0.4399 0.3206 0.8944
O 0.3524 0.9874 0.2892
O 0.6397 0.9147 0.9776
O 0.3237 0.1063 0.2330
O 0.8834 0.8134 0.6386
O 0.8237 0.8937 0.2670
O 0.6788 0.5304 0.9860
O 0.3603 0.0853 0.0224
O 0.1861 0.4578 0.7691
O 0.8139 0.5422 0.2309
O 0.6629 0.8250 0.5798
O 0.1629 0.1750 0.9202
O 0.7173 0.6041 0.4646
O 0.0601 0.3206 0.3944
O 0.3212 0.4696 0.0140
O 0.6166 0.8134 0.1386
O 0.8603 0.9147 0.4776
O 0.5272 0.2565 0.3115
O 0.8212 0.5304 0.4860
O 0.1397 0.0853 0.5224
O 0.3371 0.1750 0.4202
O 0.0272 0.7435 0.1885
O 0.3834 0.1866 0.8614
O 0.9399 0.6794 0.6056
O 0.7827 0.6041 0.9646
O 0.8524 0.0126 0.2108
O 0.1166 0.1866 0.3614
O 0.1763 0.1063 0.7330
O 0.1694 0.4921 0.8429
O 0.3139 0.4578 0.2691
O 0.6763 0.8937 0.7670
O 0.2827 0.3959 0.5354
O 0.9728 0.2565 0.8115
O 0.2173 0.3959 0.0354
O 0.1788 0.4696 0.5140
O 0.6694 0.5079 0.6571
O 0.5601 0.6794 0.1056
N 0.9329 0.7100 0.8147
N 0.9096 0.2297 0.6253
N 0.5671 0.7100 0.3147
N 0.0671 0.2900 0.1853
N 0.9145 0.2221 0.0149
N 0.7982 0.2330 0.3637
N 0.7018 0.2330 0.8637
N 0.0855 0.7779 0.9851
N 0.0904 0.7703 0.3747
N 0.5855 0.2221 0.5149
N 0.2982 0.7670 0.1363
N 0.4096 0.7703 0.8747
N 0.4145 0.7779 0.4851
N 0.5904 0.2297 0.1253
N 0.4329 0.2900 0.6853
N 0.2018 0.7670 0.6363
V 0.1161 0.2401 0.8209
V 0.8839 0.7599 0.1791
V 0.6161 0.7599 0.6791
V 0.3071 0.2382 0.9636
V 0.3839 0.2401 0.3209
V 0.8071 0.7618 0.5364
V 0.1929 0.2382 0.4636
V 0.6929 0.7618 0.0364

Properties
E_tot, eV/atom: -5.373
E_form, eV/atom: 0.56
M_tot, μB per cell: 8.00

=====

# 6
Density functional theory data (GGA+U) for NaNbSnWO6 after structural relaxation.

Cell lengths 5.7214, 5.7214, 5.7214 Å; angles 60.00, 60.00, 60.00 degrees
Atoms (fractional coordinates):
O 0.7510 0.7510 0.2490
O 0.2490 0.2490 0.7510
O 0.2490 0.7510 0.2490
O 0.7510 0.2490 0.2490
O 0.2490 0.7510 0.7510
O 0.7510 0.2490 0.7510
W 0.5000 0.5000 0.5000
Nb 0.0000 0.0000 0.0000
Na 0.2500 0.2500 0.2500
Sn 0.7500 0.7500 0.7500

Properties
E_tot, eV/atom: -7.138
E_form, eV/atom: -2.19
M_tot, μB per cell: 2.00

=====

# 7
Density functional theory data (GGA+U) for NaNb7V2O14 after structural relaxation.

Cell lengths 6.0847, 6.0847, 18.5248 Å; angles 90.00, 90.00, 120.00 degrees
Atoms (fractional coordinates):
O 0.1632 0.3265 0.1276
O 0.8368 0.1632 0.8724
O 0.4842 0.5158 0.2500
O 0.5000 0.0000 0.5000
O 0.0000 0.5000 0.5000
O 0.4842 0.9684 0.2500
O 0.5000 0.0000 0.0000
O 0.1632 0.8368 0.3724
O 0.6667 0.3333 0.3625
O 0.3265 0.1632 0.6276
O 0.3333 0.6667 0.6375
O 0.1632 0.8368 0.1276
O 0.5000 0.5000 0.5000
O 0.6735 0.8368 0.1276
O 0.8368 0.6735 0.6276
O 0.6667 0.3333 0.1375
O 0.0000 0.5000 0.0000
O 0.9684 0.4842 0.7500
O 0.3333 0.6667 0.8625
O 0.1632 0.3265 0.3724
O 0.5000 0.5000 0.0000
O 0.6735 0.8368 0.3724
O 0.8368 0.1632 0.6276
O 0.5158 0.4842 0.7500
O 0.8368 0.6735 0.8724
O 0.5158 0.0316 0.7500
O 0.0316 0.5158 0.2500
O 0.3265 0.1632 0.8724
Na 0.0000 0.0000 0.2500
Na 0.0000 0.0000 0.7500
Nb 0.6914 0.8457 0.5635
Nb 0.3086 0.1543 0.0635
Nb 0.1543 0.3086 0.5635
Nb 0.1543 0.8457 0.9365
Nb 0.8457 0.1543 0.4365
Nb 0.8457 0.6914 0.4365
Nb 0.1543 0.3086 0.9365
Nb 0.1543 0.8457 0.5635
Nb 0.3086 0.1543 0.4365
Nb 0.3333 0.6667 0.7500
Nb 0.8457 0.6914 0.0635
Nb 0.8457 0.1543 0.0635
Nb 0.6667 0.3333 0.2500
Nb 0.6914 0.8457 0.9365
V 0.3333 0.6667 0.1741
V 0.6667 0.3333 0.8259
V 0.6667 0.3333 0.6741
V 0.3333 0.6667 0.3259

Properties
E_tot, eV/atom: -8.724
E_form, eV/atom: -2.62

=====

# 8
Density functional theory data (GGA+U) for Na2Nb2W2O13 after structural relaxation.

Cell lengths 7.4308, 7.4308, 7.4308 Å; angles 119.80, 119.66, 90.47 degrees
Atoms (fractional coordinates):
O 0.1907 0.1907 0.0000
O 0.1806 0.8098 0.0033
O 0.8065 0.1773 0.9967
O 0.0634 0.9370 0.4981
O 0.4390 0.5654 0.5019
O 0.0515 0.5515 0.5000
O 0.4390 0.9370 0.8736
O 0.5434 0.5434 0.0000
O 0.0634 0.5654 0.1264
O 0.4282 0.9282 0.5000
O 0.1806 0.1773 0.3708
O 0.8065 0.8098 0.6292
O 0.8115 0.8115 0.0000
W 0.1241 0.8738 0.2503
W 0.6235 0.8738 0.7497
Na 0.1277 0.3739 0.7538
Na 0.6202 0.3739 0.2462
Nb 0.1251 0.3774 0.2523
Nb 0.1251 0.8728 0.7477

Properties
E_tot, eV/atom: -7.314
E_form, eV/atom: -2.30
M_tot, μB per cell: 2.00

=====

# 9
Density functional theory data (GGA+U) for NaNbWO7 after structural relaxation.

Cell lengths 7.4412, 7.4412, 7.4412 Å; angles 119.57, 119.52, 90.79 degrees
Atoms (fractional coordinates):
O 0.9409 0.0622 0.2465
O 0.0591 0.3056 0.1213
O 0.0591 0.9378 0.7535
O 0.3807 0.6307 0.7500
O 0.6193 0.3693 0.2500
O 0.9296 0.6796 0.2500
O 0.3071 0.0571 0.2500
O 0.6929 0.9429 0.7500
O 0.3157 0.6944 0.2535
O 0.6843 0.3056 0.7465
O 0.3157 0.0622 0.6213
O 0.9409 0.6944 0.8787
O 0.0704 0.3204 0.7500
O 0.6843 0.9378 0.3787
Na 0.5000 0.5000 0.0000
Na 0.0000 0.5000 0.5000
W 0.0000 0.0000 0.0000
W 0.5000 0.0000 0.5000
Nb 0.0000 0.0000 0.5000
Nb 0.0000 0.5000 0.0000

Properties
E_tot, eV/atom: -7.059
E_form, eV/atom: -2.08
M_tot, μB per cell: 4.01

=====

# 10
Density functional theory data (GGA+U) for NaSrNdWO6 after structural relaxation.

Cell lengths 5.7597, 5.7597, 5.7597 Å; angles 60.00, 60.00, 60.00 degrees
Atoms (fractional coordinates):
Sr 0.2500 0.2500 0.2500
O 0.2628 0.7372 0.2628
O 0.7372 0.2628 0.7372
O 0.2628 0.2628 0.7372
O 0.7372 0.2628 0.2628
O 0.7372 0.7372 0.2628
O 0.2628 0.7372 0.7372
Na 0.0000 0.0000 0.0000
Nd 0.7500 0.7500 0.7500
W 0.5000 0.5000 0.5000

Properties
E_tot, eV/atom: -6.895
E_form, eV/atom: -2.71
M_tot, μB per cell: 0.00

=====

# 11
Density functional theory data (GGA+U) for NaSrNdWO6 after structural relaxation.

Cell lengths 8.4039, 8.3921, 8.4363 Å; angles 90.00, 90.00, 90.00 degrees
Atoms (fractional coordinates):
O 0.9763 0.2006 0.7279
O 0.2961 0.0249 0.2156
O 0.2215 0.7094 0.9779
O 0.2961 0.9751 0.7844
O 0.7215 0.2094 0.5221
O 0.0237 0.7994 0.7279
O 0.2785 0.7906 0.5221
O 0.7961 0.5249 0.2844
O 0.5237 0.2994 0.7721
O 0.2215 0.2906 0.0221
O 0.7039 0.9751 0.2156
O 0.0237 0.2006 0.2721
O 0.7039 0.0249 0.7844
O 0.7785 0.2906 0.9779
O 0.2039 0.4751 0.2844
O 0.2785 0.2094 0.4779
O 0.4763 0.7006 0.7721
O 0.5237 0.7006 0.2279
O 0.7961 0.4751 0.7156
O 0.9763 0.7994 0.2721
O 0.4763 0.2994 0.2279
O 0.7215 0.7906 0.4779
O 0.7785 0.7094 0.0221
O 0.2039 0.5249 0.7156
Nd 0.2500 0.7500 0.2500
Nd 0.7500 0.2500 0.2500
Nd 0.7500 0.7500 0.7500
Nd 0.2500 0.2500 0.7500
W 0.2500 0.7500 0.7500
W 0.2500 0.2500 0.2500
W 0.7500 0.2500 0.7500
W 0.7500 0.7500 0.2500
Sr 0.0000 0.5000 0.0000
Sr 0.0000 0.0000 0.5000
Sr 0.5000 0.0000 0.5000
Sr 0.5000 0.5000 0.0000
Na 0.0000 0.0000 0.0000
Na 0.0000 0.5000 0.5000
Na 0.5000 0.0000 0.0000
Na 0.5000 0.5000 0.5000

Properties
E_tot, eV/atom: -7.046
E_form, eV/atom: -2.86
M_tot, μB per cell: 0.00

=====

# 12
Density functional theory data (GGA+U) for NaSrNdWO6 after structural relaxation.

Cell lengths 6.0247, 6.0247, 6.0247 Å; angles 60.00, 60.00, 60.00 degrees
Atoms (fractional coordinates):
Sr 0.2500 0.2500 0.2500
O 0.7287 0.2713 0.7287
O 0.7287 0.2713 0.2713
O 0.7287 0.7287 0.2713
O 0.2713 0.2713 0.7287
O 0.2713 0.7287 0.2713
O 0.2713 0.7287 0.7287
Na 0.7500 0.7500 0.7500
W 0.5000 0.5000 0.5000
Nd 0.0000 0.0000 0.0000

Properties
E_tot, eV/atom: -6.992
E_form, eV/atom: -2.81
M_tot, μB per cell: 0.00

=====

# 13
Density functional theory data (GGA+U) for NaNdV4O12 after structural relaxation.

Cell lengths 5.3130, 5.3130, 7.5335 Å; angles 90.00, 90.00, 90.00 degrees
Atoms (fractional coordinates):
O 0.2453 0.2453 0.7449
O 0.7547 0.2453 0.7449
O 0.7547 0.2453 0.2551
O 0.2453 0.2453 0.2551
O 0.0000 0.5000 0.0000
O 0.0000 0.5000 0.5000
O 0.2453 0.7547 0.2551
O 0.5000 0.0000 0.0000
O 0.7547 0.7547 0.7449
O 0.5000 0.0000 0.5000
O 0.2453 0.7547 0.7449
O 0.7547 0.7547 0.2551
V 0.5000 0.0000 0.2445
V 0.5000 0.0000 0.7555
V 0.0000 0.5000 0.7555
V 0.0000 0.5000 0.2445
Nd 0.0000 0.0000 0.5000
Na 0.5000 0.5000 0.0000

Properties
E_tot, eV/atom: -7.261
E_form, eV/atom: -2.44
M_tot, μB per cell: 0.00

=====

# 14
Density functional theory data (GGA+U) for NaNdW2O8 after structural relaxation.

Cell lengths 6.9417, 6.9417, 6.9417 Å; angles 134.45, 134.45, 66.39 degrees
Atoms (fractional coordinates):
O 0.2679 0.6521 0.0971
O 0.4245 0.0108 0.1012
O 0.5550 0.1708 0.9029
O 0.8292 0.7321 0.3842
O 0.3479 0.4450 0.6158
O 0.6767 0.5755 0.5863
O 0.9096 0.3233 0.8988
O 0.9892 0.0904 0.4137
W 0.5000 0.5000 0.0000
W 0.7500 0.2500 0.5000
Na 0.0000 0.0000 0.0000
Nd 0.2500 0.7500 0.5000

Properties
E_tot, eV/atom: -7.362
E_form, eV/atom: -2.59
M_tot, μB per cell: 0.00